La2Os2I: optimized geometry, r2SCAN.

Cell lengths 4.328, 4.328, 18.075 Å; angles 90.00, 90.00, 120.00 degrees
Element x y z (fractional)
La1 0.000 0.000 0.107
La2 0.000 0.000 0.393
La3 0.000 0.000 0.607
La4 0.000 0.000 0.893
Os1 0.333 0.667 0.005
Os2 0.333 0.667 0.495
Os3 0.667 0.333 0.505
Os4 0.667 0.333 0.995
I1 0.333 0.667 0.750
I2 0.667 0.333 0.250

Symmetry = P6_3/mmc, No. 194
Calculated formation energy = -733.1 meV per atom